1.
Entry from Materials Project: crystalline AgBTe4C2O6F20 at its relaxed geometry (PBE).

Calculated density, g cm⁻³: 3.19
ΔE_f, eV per atom: -2.092
E (MP2020), eV per atom: -5.284
Magnetic moment, μB per formula unit: 0.0
Crystal system: triclinic

Cell: 10.5749 13.4717 16.9634 Å, 87.74 76.56 89.15°
Space group P-1 (No. 2)
Unique sites:
1 Ag 0.0000 0.0000 0.0000 (multiplicity 1)
2 Ag 0.2116 0.2608 0.5585 (multiplicity 2)
3 Ag 0.5000 0.5000 0.0000 (multiplicity 1)
4 B 0.0519 0.4992 0.2494 (multiplicity 2)
5 B 0.4271 0.9698 0.7605 (multiplicity 2)
6 Te 0.0252 0.7131 0.1900 (multiplicity 2)
7 Te 0.1149 0.3734 0.0993 (multiplicity 2)
8 Te 0.2074 0.5524 0.6374 (multiplicity 2)
9 Te 0.2104 0.9467 0.6706 (multiplicity 2)
10 Te 0.2807 0.4829 0.3290 (multiplicity 2)
11 Te 0.3099 0.0710 0.3509 (multiplicity 2)
12 Te 0.3657 0.8215 0.9046 (multiplicity 2)
13 Te 0.4517 0.1740 0.8234 (multiplicity 2)
14 C 0.0189 0.2302 0.5541 (multiplicity 2)
15 C 0.1115 0.0379 0.0810 (multiplicity 2)
16 C 0.4105 0.2643 0.5597 (multiplicity 2)
17 C 0.4165 0.4978 0.8996 (multiplicity 2)
18 O 0.0495 0.6080 0.2616 (multiplicity 2)
19 O 0.0787 0.5458 0.7348 (multiplicity 2)
20 O 0.0836 0.7909 0.4483 (multiplicity 2)
21 O 0.1171 0.4834 0.1637 (multiplicity 2)
22 O 0.1196 0.4507 0.3080 (multiplicity 2)
23 O 0.1723 0.0558 0.1256 (multiplicity 2)
24 O 0.3589 0.9411 0.8449 (multiplicity 2)
25 O 0.3695 0.4988 0.8459 (multiplicity 2)
26 O 0.3706 0.9255 0.6982 (multiplicity 2)
27 O 0.4165 0.0793 0.7524 (multiplicity 2)
28 O 0.4376 0.0681 0.2531 (multiplicity 2)
29 O 0.4829 0.7385 0.4383 (multiplicity 2)
30 F 0.0005 0.1762 0.8768 (multiplicity 2)
31 F 0.0550 0.9673 0.6365 (multiplicity 2)
32 F 0.0619 0.6142 0.8999 (multiplicity 2)
33 F 0.0774 0.3593 0.8640 (multiplicity 2)
34 F 0.0831 0.2787 0.1857 (multiplicity 2)
35 F 0.1184 0.7981 0.2403 (multiplicity 2)
36 F 0.1192 0.4708 0.5791 (multiplicity 2)
37 F 0.1216 0.2666 0.0302 (multiplicity 2)
38 F 0.1261 0.2455 0.7349 (multiplicity 2)
39 F 0.1320 0.0162 0.7643 (multiplicity 2)
40 F 0.1367 0.6658 0.5955 (multiplicity 2)
41 F 0.1393 0.8287 0.7237 (multiplicity 2)
42 F 0.1565 0.4577 0.0060 (multiplicity 2)
43 F 0.1754 0.0779 0.4461 (multiplicity 2)
44 F 0.1764 0.6873 0.1106 (multiplicity 2)
45 F 0.1884 0.7984 0.9102 (multiplicity 2)
46 F 0.2094 0.5877 0.3957 (multiplicity 2)
47 F 0.2150 0.1644 0.3032 (multiplicity 2)
48 F 0.2165 0.9679 0.3203 (multiplicity 2)
49 F 0.2443 0.3925 0.4194 (multiplicity 2)
50 F 0.2652 0.0690 0.6143 (multiplicity 2)
51 F 0.2733 0.8788 0.5750 (multiplicity 2)
52 F 0.2889 0.4357 0.6673 (multiplicity 2)
53 F 0.2925 0.1524 0.8995 (multiplicity 2)
54 F 0.2964 0.3552 0.0870 (multiplicity 2)
55 F 0.3091 0.6305 0.6869 (multiplicity 2)
56 F 0.3101 0.8899 0.0014 (multiplicity 2)
57 F 0.3342 0.5720 0.2392 (multiplicity 2)
58 F 0.3435 0.5587 0.5437 (multiplicity 2)
59 F 0.3653 0.7032 0.9682 (multiplicity 2)
60 F 0.3679 0.3805 0.2655 (multiplicity 2)
61 F 0.3726 0.2725 0.7696 (multiplicity 2)
62 F 0.3867 0.1761 0.3939 (multiplicity 2)
63 F 0.3884 0.7928 0.2465 (multiplicity 2)
64 F 0.3923 0.9787 0.4090 (multiplicity 2)
65 F 0.4139 0.7410 0.8144 (multiplicity 2)
66 F 0.4382 0.5088 0.3570 (multiplicity 2)
67 F 0.4609 0.1638 0.0888 (multiplicity 2)
68 F 0.4631 0.9137 0.1169 (multiplicity 2)
69 F 0.4817 0.2747 0.8911 (multiplicity 2)

***

2.
Entry from Materials Project: crystalline Na5Ca2Mg2PS5O24 at its relaxed geometry (PBE).

Calculated density, g cm⁻³: 2.48
ΔE_f, eV per atom: -2.465
E (MP2020), eV per atom: -6.534
Magnetic moment, μB per formula unit: 0.0
Crystal system: triclinic

Cell: 9.0995 9.1009 22.9430 Å, 90.08 90.08 119.99°
Space group P1 (No. 1)
Unique sites:
1 Na 0.0000 0.0000 0.0000 (multiplicity 1)
2 Na 0.0046 0.6503 0.7499 (multiplicity 1)
3 Na 0.3018 0.6034 0.3335 (multiplicity 1)
4 Na 0.3130 0.2953 0.4130 (multiplicity 1)
5 Na 0.3211 0.9404 0.1620 (multiplicity 1)
6 Na 0.3324 0.3005 0.9137 (multiplicity 1)
7 Na 0.3424 0.6627 0.6595 (multiplicity 1)
8 Na 0.3575 0.9786 0.4972 (multiplicity 1)
9 Na 0.6316 0.6331 0.5009 (multiplicity 1)
10 Na 0.6611 0.9499 0.0789 (multiplicity 1)
11 Na 0.6658 0.6065 0.8289 (multiplicity 1)
12 Na 0.6849 0.9584 0.5814 (multiplicity 1)
13 Na 0.6918 0.3064 0.6690 (multiplicity 1)
14 Na 0.9689 0.6491 0.2420 (multiplicity 1)
15 Na 0.9739 0.2937 0.1577 (multiplicity 1)
16 Ca 0.0000 0.6360 0.5987 (multiplicity 1)
17 Ca 0.3227 0.3053 0.5653 (multiplicity 1)
18 Ca 0.3344 0.2916 0.2569 (multiplicity 1)
19 Ca 0.6698 0.9647 0.7381 (multiplicity 1)
20 Ca 0.6758 0.9756 0.4261 (multiplicity 1)
21 Ca 0.9944 0.6272 0.3930 (multiplicity 1)
22 Mg 0.0039 0.6289 0.9009 (multiplicity 1)
23 Mg 0.3286 0.2975 0.7652 (multiplicity 1)
24 Mg 0.3335 0.3039 0.0642 (multiplicity 1)
25 Mg 0.6573 0.9717 0.9292 (multiplicity 1)
26 Mg 0.6798 0.9636 0.2264 (multiplicity 1)
27 Mg 0.9934 0.6349 0.0915 (multiplicity 1)
28 P 0.0286 0.9935 0.1562 (multiplicity 1)
29 P 0.3094 0.6369 0.4946 (multiplicity 1)
30 P 0.6290 0.5965 0.6678 (multiplicity 1)
31 S 0.0002 0.9351 0.4952 (multiplicity 1)
32 S 0.0326 0.2998 0.6684 (multiplicity 1)
33 S 0.2948 0.9282 0.9970 (multiplicity 1)
34 S 0.3301 0.6037 0.1612 (multiplicity 1)
35 S 0.3351 0.0054 0.6656 (multiplicity 1)
36 S 0.3597 0.6626 0.8323 (multiplicity 1)
37 S 0.3719 0.9660 0.3255 (multiplicity 1)
38 S 0.6379 0.3015 0.1589 (multiplicity 1)
39 S 0.6624 0.6687 0.3272 (multiplicity 1)
40 S 0.6679 0.2757 0.8319 (multiplicity 1)
41 S 0.6910 0.3264 0.4993 (multiplicity 1)
42 S 0.7024 0.6337 0.9939 (multiplicity 1)
43 S 0.9680 0.2702 0.3227 (multiplicity 1)
44 S 0.9732 0.9636 0.8366 (multiplicity 1)
45 S 0.9991 0.3364 0.9975 (multiplicity 1)
46 O 0.0080 0.8144 0.1479 (multiplicity 1)
47 O 0.0103 0.8474 0.4427 (multiplicity 1)
48 O 0.0152 0.4416 0.9468 (multiplicity 1)
49 O 0.0325 0.4655 0.6691 (multiplicity 1)
50 O 0.1012 0.2805 0.6130 (multiplicity 1)
51 O 0.1136 0.1122 0.1025 (multiplicity 1)
52 O 0.1362 0.3029 0.7184 (multiplicity 1)
53 O 0.1433 0.1162 0.8287 (multiplicity 1)
54 O 0.1441 0.2963 0.3231 (multiplicity 1)
55 O 0.1465 0.0700 0.2094 (multiplicity 1)
56 O 0.1531 0.3151 0.0008 (multiplicity 1)
57 O 0.1598 0.1014 0.4971 (multiplicity 1)
58 O 0.1735 0.6176 0.1518 (multiplicity 1)
59 O 0.1788 0.8383 0.9477 (multiplicity 1)
60 O 0.1893 0.6382 0.8437 (multiplicity 1)
61 O 0.1891 0.8287 0.6683 (multiplicity 1)
62 O 0.2041 0.8038 0.3225 (multiplicity 1)
63 O 0.2134 0.6343 0.4387 (multiplicity 1)
64 O 0.2202 0.6480 0.5507 (multiplicity 1)
65 O 0.2224 0.8306 0.0519 (multiplicity 1)
66 O 0.3032 0.5097 0.2166 (multiplicity 1)
67 O 0.3063 0.0992 0.0014 (multiplicity 1)
68 O 0.3240 0.1045 0.7145 (multiplicity 1)
69 O 0.3352 0.4810 0.4928 (multiplicity 1)
70 O 0.3417 0.0858 0.6089 (multiplicity 1)
71 O 0.3476 0.1144 0.3246 (multiplicity 1)
72 O 0.3535 0.4937 0.8295 (multiplicity 1)
73 O 0.3560 0.5134 0.1124 (multiplicity 1)
74 O 0.4192 0.7511 0.7754 (multiplicity 1)
75 O 0.4565 0.9715 0.3813 (multiplicity 1)
76 O 0.4669 0.9498 0.9884 (multiplicity 1)
77 O 0.4737 0.9630 0.2750 (multiplicity 1)
78 O 0.4785 0.7806 0.1654 (multiplicity 1)
79 O 0.4855 0.7624 0.8788 (multiplicity 1)
80 O 0.4899 0.8010 0.4963 (multiplicity 1)
81 O 0.4956 0.9968 0.6695 (multiplicity 1)
82 O 0.5027 0.5010 0.3236 (multiplicity 1)
83 O 0.5124 0.2944 0.8302 (multiplicity 1)
84 O 0.5168 0.3055 0.4983 (multiplicity 1)
85 O 0.5215 0.2767 0.1098 (multiplicity 1)
86 O 0.5259 0.4851 0.7205 (multiplicity 1)
87 O 0.5307 0.4842 0.0025 (multiplicity 1)
88 O 0.5367 0.5165 0.6095 (multiplicity 1)
89 O 0.5767 0.3355 0.2136 (multiplicity 1)
90 O 0.6425 0.7736 0.6698 (multiplicity 1)
91 O 0.6456 0.1390 0.1637 (multiplicity 1)
92 O 0.6508 0.1603 0.8798 (multiplicity 1)
93 O 0.6535 0.7423 0.3840 (multiplicity 1)
94 O 0.6696 0.7783 0.2784 (multiplicity 1)
95 O 0.6716 0.1550 0.4960 (multiplicity 1)
96 O 0.6902 0.2113 0.7752 (multiplicity 1)
97 O 0.6917 0.7944 0.9893 (multiplicity 1)
98 O 0.7772 0.6100 0.9395 (multiplicity 1)
99 O 0.7794 0.4057 0.5545 (multiplicity 1)
100 O 0.7820 0.4345 0.4491 (multiplicity 1)
101 O 0.8039 0.6048 0.6697 (multiplicity 1)
102 O 0.8128 0.6475 0.3246 (multiplicity 1)
103 O 0.8146 0.4432 0.1490 (multiplicity 1)
104 O 0.8179 0.4505 0.8405 (multiplicity 1)
105 O 0.8176 0.6611 0.0438 (multiplicity 1)
106 O 0.8463 0.1601 0.9918 (multiplicity 1)
107 O 0.8491 0.9566 0.4941 (multiplicity 1)
108 O 0.8535 0.1601 0.6719 (multiplicity 1)
109 O 0.8542 0.9864 0.1646 (multiplicity 1)
110 O 0.8643 0.9289 0.7843 (multiplicity 1)
111 O 0.8720 0.1753 0.2701 (multiplicity 1)
112 O 0.8858 0.1809 0.3764 (multiplicity 1)
113 O 0.8896 0.9891 0.8885 (multiplicity 1)
114 O 0.9809 0.4143 0.0520 (multiplicity 1)
115 O 0.9813 0.8343 0.5481 (multiplicity 1)
116 O 0.9839 0.4419 0.3211 (multiplicity 1)
117 O 0.9880 0.8074 0.8438 (multiplicity 1)

***

3.
Entry from Materials Project: crystalline Rb2TiGe3O9 at its relaxed geometry (PBE).

Calculated density, g cm⁻³: 4.18
ΔE_f, eV per atom: -2.442
E (MP2020), eV per atom: -6.992
Magnetic moment, μB per formula unit: 0.0
E above lowest polymorph, meV/atom: 0
Crystal system: trigonal

Cell: 12.4605 12.4605 10.2862 Å, 90.00 90.00 120.00°
Space group P-3c1 (No. 165)
Unique sites:
1 Rb 0.0031 0.3372 0.4306 (multiplicity 12)
2 Ti 0.0000 0.0000 0.0000 (multiplicity 2)
3 Ti 0.3333 0.6667 0.4714 (multiplicity 4)
4 Ge 0.0000 0.1798 0.7500 (multiplicity 6)
5 Ge 0.1470 0.4794 0.7219 (multiplicity 12)
6 O 0.0000 0.4704 0.7500 (multiplicity 6)
7 O 0.0675 0.1486 0.8840 (multiplicity 12)
8 O 0.1150 0.3254 0.6776 (multiplicity 12)
9 O 0.1883 0.5678 0.5798 (multiplicity 12)
10 O 0.2396 0.5168 0.8595 (multiplicity 12)

***

4.
Entry from Materials Project: crystalline FeTe2 at its relaxed geometry (PBE).

Calculated density, g cm⁻³: 8.05
ΔE_f, eV per atom: -0.462
E (MP2020), eV per atom: -5.381
Crystal system: orthorhombic

Cell: 5.2600 6.2587 3.8960 Å, 90.00 90.00 90.00°
Space group Pnnm (No. 58)
Unique sites:
1 Fe 0.0000 0.0000 0.0000 (multiplicity 2)
2 Te 0.2276 0.3614 0.0000 (multiplicity 4)

***

5.
Entry from Materials Project: crystalline BaSrPrTiO6 at its relaxed geometry (PBE).

Calculated density, g cm⁻³: 5.32
ΔE_f, eV per atom: -3.184
E (MP2020), eV per atom: -7.781
Magnetic moment, μB per formula unit: 1.0
E above lowest polymorph, meV/atom: 36
Crystal system: cubic

Cell: 8.6002 8.6002 8.6002 Å, 90.00 90.00 90.00°
Space group F-43m (No. 216)
Unique sites:
1 Ba 0.0000 0.0000 0.0000 (multiplicity 4)
2 Sr 0.0000 0.0000 0.5000 (multiplicity 4)
3 Pr 0.2500 0.2500 0.2500 (multiplicity 4)
4 Ti 0.2500 0.2500 0.7500 (multiplicity 4)
5 O 0.0209 0.2500 0.7500 (multiplicity 24)

***

6.
Entry from Materials Project: crystalline FeCuNi at its relaxed geometry (PBE).

Calculated density, g cm⁻³: 9.04
ΔE_f, eV per atom: 0.071
Magnetic moment, μB per formula unit: 2.9
Crystal system: trigonal

Cell: 2.4729 2.4729 6.1756 Å, 90.00 90.00 120.00°
Space group P3m1 (No. 156)
Unique sites:
1 Fe 0.0000 0.0000 0.0000 (multiplicity 1)
2 Cu 0.3333 0.6667 0.6575 (multiplicity 1)
3 Ni 0.6667 0.3333 0.3154 (multiplicity 1)

***

7.
Entry from Materials Project: crystalline Sn2Sb2S5 at its relaxed geometry (PBE).

Calculated density, g cm⁻³: 4.52
ΔE_f, eV per atom: -0.595
E (MP2020), eV per atom: -4.702
Magnetic moment, μB per formula unit: 0.0
Crystal system: orthorhombic

Cell: 20.6016 3.9689 11.5242 Å, 90.00 90.00 90.00°
Space group Pnma (No. 62)
Unique sites:
1 Sn 0.0887 0.2500 0.0033 (multiplicity 4)
2 Sn 0.2004 0.2500 0.3368 (multiplicity 4)
3 Sb 0.0300 0.7500 0.2909 (multiplicity 4)
4 Sb 0.1318 0.7500 0.6244 (multiplicity 4)
5 S 0.0195 0.7500 0.8691 (multiplicity 4)
6 S 0.0779 0.2500 0.4249 (multiplicity 4)
7 S 0.1294 0.7500 0.1755 (multiplicity 4)
8 S 0.1717 0.2500 0.7467 (multiplicity 4)
9 S 0.2271 0.7500 0.4967 (multiplicity 4)